# 1
Entry from the Materials Project database: a relaxed AlAgO3 crystal (PBE).

Computed properties:
The total energy after the MP2020 corrections comes out at -6.02 eV/atom. The energy of formation from the pure elements comes out at -1.74 eV per atom.

Geometry as CIF:
```
data_AlAgO3
_chemical_formula_sum 'Al4 Ag4 O12'
_cell_length_a 5.293
_cell_length_b 9.497
_cell_length_c 4.728
_cell_angle_alpha 90.00
_cell_angle_beta 90.00
_cell_angle_gamma 90.00
_space_group_name_H-M_alt 'P n m a'
_space_group_IT_number 62
loop_
_space_group_symop_operation_xyz
'x,y,z'
'-x,-y,-z'
'-x+1/2,-y,z+1/2'
'x+1/2,y,-z+1/2'
'x+1/2,-y+1/2,-z+1/2'
'-x+1/2,y+1/2,z+1/2'
'-x,y+1/2,-z'
'x,-y+1/2,z'
loop_
_atom_site_label
_atom_site_type_symbol
_atom_site_fract_x
_atom_site_fract_y
_atom_site_fract_z
_atom_site_occupancy
Al1 Al 0.073 0.250 0.031 1
Ag1 Ag 0.000 0.000 0.500 1
O1 O 0.179 0.095 0.841 1
O2 O 0.229 0.750 0.825 1
```

# 2
Entry from the Materials Project database: a relaxed AlAgO3 crystal (PBE).

Computed properties:
The total energy after the MP2020 corrections comes out at -5.67 eV/atom. The energy of formation from the pure elements comes out at -1.38 eV per atom.

Geometry as CIF:
```
data_AlAgO3
_chemical_formula_sum 'Al2 Ag2 O6'
_cell_length_a 3.4083
_cell_length_b 3.4083
_cell_length_c 11.5791
_cell_angle_alpha 90.00
_cell_angle_beta 90.00
_cell_angle_gamma 120.00
_space_group_name_H-M_alt 'P 63/m m c'
_space_group_IT_number 194
_space_group_name_Hall '-P 6c 2c'
loop_
_atom_site_label
_atom_site_type_symbol
_atom_site_fract_x
_atom_site_fract_y
_atom_site_fract_z
_atom_site_occupancy
Al1 Al 0.0000 0.0000 0.0000 1
Ag1 Ag 0.3333 0.6667 0.2500 1
O1 O 0.0000 0.0000 0.2500 1
O2 O 0.3333 0.6667 0.0680 1
```

# 3
Entry from the Materials Project database: a relaxed AlAgO3 crystal (PBE).

Computed properties:
The total energy after the MP2020 corrections comes out at -5.90 eV/atom. The energy of formation from the pure elements comes out at -1.62 eV per atom.

Geometry as CIF:
```
data_AlAgO3
_chemical_formula_sum 'Al1 Ag1 O3'
_cell_length_a 3.751
_cell_length_b 3.751
_cell_length_c 3.751
_cell_angle_alpha 90.00
_cell_angle_beta 90.00
_cell_angle_gamma 90.00
_space_group_name_H-M_alt 'P m -3 m'
_space_group_IT_number 221
_space_group_name_Hall '-P 4 2 3'
loop_
_atom_site_label
_atom_site_type_symbol
_atom_site_fract_x
_atom_site_fract_y
_atom_site_fract_z
_atom_site_occupancy
Al1 Al 0.000 0.000 0.000 1
Ag1 Ag 0.500 0.500 0.500 1
O1 O 0.000 0.000 0.500 1
```

# 4
Entry from the Materials Project database: a relaxed AlAgO2 crystal (PBE).

Computed properties:
The total energy after the MP2020 corrections comes out at -6.34 eV/atom. The energy of formation from the pure elements comes out at -2.23 eV per atom.

Geometry as CIF:
```
data_AlAgO2
_chemical_formula_sum 'Al3 Ag3 O6'
_cell_length_a 2.8979
_cell_length_b 2.8979
_cell_length_c 18.3877
_cell_angle_alpha 90.00
_cell_angle_beta 90.00
_cell_angle_gamma 120.00
_space_group_name_H-M_alt 'R 3 m'
_space_group_IT_number 160
_space_group_name_Hall 'R 3 -2"'
loop_
_atom_site_label
_atom_site_type_symbol
_atom_site_fract_x
_atom_site_fract_y
_atom_site_fract_z
_atom_site_occupancy
Al1 Al 0.0000 0.0000 0.0000 1
Ag1 Ag 0.0000 0.0000 0.1628 1
O1 O 0.0000 0.0000 0.2822 1
O2 O 0.0000 0.0000 0.7219 1
```

# 5
Entry from the Materials Project database: a relaxed Rb11Al14Si10Ag3O48 crystal (PBE).

Computed properties:
The total energy after the MP2020 corrections comes out at -7.07 eV/atom. The energy of formation from the pure elements comes out at -2.85 eV per atom.

Geometry as CIF:
```
data_Rb11Al14Si10Ag3O48
_chemical_formula_sum 'Rb11 Al14 Si10 Ag3 O48'
_cell_length_a 12.176
_cell_length_b 12.299
_cell_length_c 13.033
_cell_angle_alpha 90.15
_cell_angle_beta 90.62
_cell_angle_gamma 90.25
_space_group_name_H-M_alt 'P 1'
_space_group_IT_number 1
loop_
_space_group_symop_operation_xyz
'x,y,z'
loop_
_atom_site_label
_atom_site_type_symbol
_atom_site_fract_x
_atom_site_fract_y
_atom_site_fract_z
_atom_site_occupancy
Rb1 Rb 0.000 0.000 0.000 1
Rb2 Rb 0.001 0.778 0.296 1
Rb3 Rb 0.094 0.389 0.697 1
Rb4 Rb 0.206 0.787 0.004 1
Rb5 Rb 0.342 0.131 0.895 1
Rb6 Rb 0.357 0.142 0.418 1
Rb7 Rb 0.366 0.610 0.870 1
Rb8 Rb 0.596 0.884 0.575 1
Rb9 Rb 0.628 0.414 0.191 1
Rb10 Rb 0.805 0.145 0.869 1
Rb11 Rb 0.850 0.642 0.885 1
Al1 Al 0.089 0.086 0.759 1
Al2 Al 0.093 0.086 0.520 1
Al3 Al 0.095 0.261 0.970 1
Al4 Al 0.095 0.522 0.972 1
Al5 Al 0.102 0.684 0.526 1
Al6 Al 0.106 0.694 0.761 1
Al7 Al 0.292 0.889 0.765 1
Al8 Al 0.294 0.891 0.527 1
Al9 Al 0.461 0.889 0.321 1
Al10 Al 0.469 0.889 0.973 1
Al11 Al 0.730 0.884 0.974 1
Al12 Al 0.902 0.884 0.524 1
Al13 Al 0.903 0.891 0.764 1
Al14 Al 0.911 0.515 0.152 1
Si1 Si 0.104 0.515 0.324 1
Si2 Si 0.106 0.257 0.319 1
Si3 Si 0.285 0.517 0.151 1
Si4 Si 0.286 0.261 0.148 1
Si5 Si 0.461 0.707 0.150 1
Si6 Si 0.474 0.077 0.153 1
Si7 Si 0.723 0.702 0.154 1
Si8 Si 0.726 0.881 0.323 1
Si9 Si 0.730 0.067 0.155 1
Si10 Si 0.916 0.255 0.149 1
Ag1 Ag 0.579 0.191 0.664 1
Ag2 Ag 0.615 0.577 0.627 1
Ag3 Ag 0.686 0.374 0.630 1
O1 O 0.006 0.225 0.240 1
O2 O 0.095 0.619 0.646 1
O3 O 0.097 0.155 0.640 1
O4 O 0.099 0.385 0.353 1
O5 O 0.100 0.173 0.866 1
O6 O 0.104 0.611 0.870 1
O7 O 0.106 0.391 0.923 1
O8 O 0.109 0.184 0.420 1
O9 O 0.109 0.586 0.427 1
O10 O 0.202 0.000 0.774 1
O11 O 0.209 0.227 0.052 1
O12 O 0.211 0.006 0.510 1
O13 O 0.212 0.775 0.512 1
O14 O 0.216 0.555 0.050 1
O15 O 0.218 0.535 0.257 1
O16 O 0.225 0.239 0.259 1
O17 O 0.233 0.760 0.777 1
O18 O 0.326 0.389 0.143 1
O19 O 0.362 0.902 0.648 1
O20 O 0.369 0.900 0.879 1
O21 O 0.399 0.903 0.439 1
O22 O 0.401 0.586 0.153 1
O23 O 0.403 0.193 0.148 1
O24 O 0.414 0.786 0.237 1
O25 O 0.441 0.002 0.055 1
O26 O 0.441 0.760 0.036 1
O27 O 0.450 0.019 0.262 1
O28 O 0.592 0.674 0.168 1
O29 O 0.599 0.866 0.352 1
O30 O 0.600 0.896 0.924 1
O31 O 0.604 0.117 0.147 1
O32 O 0.746 0.994 0.258 1
O33 O 0.748 0.763 0.046 1
O34 O 0.765 0.001 0.052 1
O35 O 0.768 0.779 0.249 1
O36 O 0.784 0.585 0.161 1
O37 O 0.800 0.880 0.426 1
O38 O 0.809 0.174 0.164 1
O39 O 0.827 0.882 0.878 1
O40 O 0.834 0.878 0.644 1
O41 O 0.868 0.377 0.160 1
O42 O 0.963 0.020 0.778 1
O43 O 0.971 0.229 0.038 1
O44 O 0.974 0.548 0.038 1
O45 O 0.980 0.001 0.504 1
O46 O 0.988 0.770 0.503 1
O47 O 0.992 0.779 0.772 1
O48 O 0.998 0.551 0.255 1
```